{
  "formula": "ZnB2N4F8",
  "functional": "PBE",
  "state": "relaxed",
  "lattice": [[0.000, -5.628, 0.000], [-11.898, 0.000, 0.000], [0.000, 0.000, -16.001]],
  "species": ["Zn", "Zn", "Zn", "Zn", "B", "B", "B", "B", "B", "B", "B", "B", "N", "N", "N", "N", "N", "N", "N", "N", "N", "N", "N", "N", "N", "N", "N", "N", "F", "F", "F", "F", "F", "F", "F", "F", "F", "F", "F", "F", "F", "F", "F", "F", "F", "F", "F", "F", "F", "F", "F", "F", "F", "F", "F", "F", "F", "F", "F", "F"],
  "frac_coords": [[0.750, 0.648, 0.873], [0.750, 0.148, 0.627], [0.250, 0.352, 0.127], [0.250, 0.852, 0.373], [0.750, 0.226, 0.894], [0.750, 0.726, 0.606], [0.250, 0.774, 0.106], [0.250, 0.274, 0.394], [0.750, 0.002, 0.319], [0.750, 0.502, 0.181], [0.250, 0.998, 0.681], [0.250, 0.498, 0.819], [0.750, 0.953, 0.008], [0.750, 0.453, 0.492], [0.250, 0.047, 0.992], [0.250, 0.547, 0.508], [0.750, 0.650, 0.003], [0.750, 0.150, 0.497], [0.250, 0.350, 0.997], [0.250, 0.850, 0.503], [0.001, 0.767, 0.839], [0.499, 0.267, 0.661], [0.501, 0.233, 0.161], [0.999, 0.733, 0.339], [0.999, 0.233, 0.161], [0.501, 0.733, 0.339], [0.499, 0.767, 0.839], [0.001, 0.267, 0.661], [0.750, 0.058, 0.040], [0.750, 0.558, 0.460], [0.250, 0.942, 0.960], [0.250, 0.442, 0.540], [0.750, 0.310, 0.949], [0.750, 0.810, 0.551], [0.250, 0.690, 0.051], [0.250, 0.190, 0.449], [0.953, 0.183, 0.867], [0.547, 0.683, 0.633], [0.453, 0.817, 0.133], [0.047, 0.317, 0.367], [0.047, 0.817, 0.133], [0.453, 0.317, 0.367], [0.547, 0.183, 0.867], [0.953, 0.683, 0.633], [0.750, 0.117, 0.315], [0.750, 0.617, 0.185], [0.250, 0.883, 0.685], [0.250, 0.383, 0.815], [0.750, 0.948, 0.243], [0.750, 0.448, 0.257], [0.250, 0.052, 0.757], [0.250, 0.552, 0.743], [0.538, 0.966, 0.368], [0.962, 0.466, 0.132], [0.038, 0.034, 0.632], [0.462, 0.534, 0.868], [0.462, 0.034, 0.632], [0.038, 0.534, 0.868], [0.962, 0.966, 0.368], [0.538, 0.466, 0.132]],
  "e_above_lowest_polymorph_ev_per_atom": 0.0000,
  "formation_energy_ev_per_atom": -0.820,
  "spacegroup": "Pnma, No. 62"
}